Record 1
! Ca8Ti3Mn5O21 PBE+U relaxed; values from VASP
&SYSTEM
  ibrav = 0, nat = 148, ntyp = 4
/
ATOMIC_SPECIES
Ca 40.08 Ca.upf
Ti 47.87 Ti.upf
Mn 54.94 Mn.upf
O 16.00 O.upf
CELL_PARAMETERS angstrom
-7.263 -6.995 -4.758
6.978 -11.859 7.059
-6.658 1.337 8.808
ATOMIC_POSITIONS crystal
Ca 0.975 0.123 0.532
Ca 0.979 0.119 0.024
Ca 0.997 0.620 0.526
Ca 0.995 0.618 0.001
Ca 0.540 0.120 0.482
Ca 0.541 0.124 0.986
Ca 0.534 0.627 0.513
Ca 0.545 0.622 0.972
Ca 0.509 0.389 0.988
Ca 0.487 0.376 0.523
Ca 0.536 0.858 0.975
Ca 0.489 0.864 0.500
Ca 0.964 0.387 0.008
Ca 0.956 0.386 0.510
Ca 0.957 0.878 0.997
Ca 0.965 0.868 0.515
Ca 0.244 0.391 0.225
Ca 0.233 0.403 0.760
Ca 0.241 0.881 0.275
Ca 0.230 0.863 0.720
Ca 0.746 0.375 0.252
Ca 0.725 0.389 0.762
Ca 0.742 0.862 0.242
Ca 0.718 0.865 0.737
Ca 0.223 0.121 0.217
Ca 0.229 0.115 0.733
Ca 0.245 0.618 0.274
Ca 0.263 0.625 0.719
Ca 0.766 0.121 0.252
Ca 0.765 0.127 0.754
Ca 0.769 0.613 0.256
Ca 0.771 0.625 0.752
Ti 0.989 0.995 0.266
Ti 0.983 0.994 0.757
Ti 0.002 0.499 0.259
Ti 0.241 0.973 0.019
Ti 0.233 0.003 0.507
Ti 0.253 0.522 0.007
Ti 0.264 0.245 0.939
Ti 0.256 0.239 0.440
Ti 0.265 0.743 0.979
Ti 0.988 0.252 0.272
Ti 0.994 0.258 0.777
Ti 0.999 0.747 0.272
Mn 0.994 0.499 0.758
Mn 0.501 0.989 0.223
Mn 0.499 0.000 0.722
Mn 0.505 0.490 0.248
Mn 0.493 0.502 0.750
Mn 0.232 0.489 0.507
Mn 0.742 0.001 0.989
Mn 0.743 0.996 0.487
Mn 0.751 0.502 0.005
Mn 0.739 0.498 0.507
Mn 0.245 0.744 0.491
Mn 0.745 0.251 0.008
Mn 0.743 0.250 0.504
Mn 0.760 0.748 0.998
Mn 0.750 0.748 0.501
Mn 0.001 0.752 0.753
Mn 0.504 0.257 0.260
Mn 0.508 0.247 0.757
Mn 0.514 0.751 0.262
Mn 0.498 0.747 0.743
O 0.098 0.769 0.605
O 0.561 0.259 0.094
O 0.567 0.248 0.591
O 0.607 0.765 0.119
O 0.606 0.763 0.596
O 0.384 0.185 0.366
O 0.388 0.184 0.867
O 0.408 0.695 0.368
O 0.412 0.733 0.924
O 0.924 0.240 0.416
O 0.923 0.239 0.917
O 0.911 0.729 0.402
O 0.916 0.739 0.902
O 0.168 0.253 0.297
O 0.176 0.255 0.794
O 0.166 0.749 0.313
O 0.176 0.742 0.846
O 0.658 0.228 0.349
O 0.661 0.233 0.854
O 0.663 0.723 0.349
O 0.643 0.732 0.849
O 0.355 0.758 0.640
O 0.858 0.264 0.159
O 0.875 0.266 0.657
O 0.891 0.777 0.147
O 0.849 0.774 0.644
O 0.358 0.512 0.163
O 0.348 0.489 0.640
O 0.354 0.029 0.117
O 0.365 0.043 0.603
O 0.866 0.482 0.152
O 0.846 0.477 0.643
O 0.863 0.978 0.161
O 0.859 0.978 0.655
O 0.176 0.018 0.350
O 0.236 0.995 0.860
O 0.160 0.493 0.346
O 0.162 0.527 0.866
O 0.629 0.030 0.337
O 0.625 0.040 0.835
O 0.630 0.522 0.361
O 0.641 0.516 0.856
O 0.395 0.516 0.913
O 0.900 0.017 0.402
O 0.898 0.014 0.900
O 0.908 0.517 0.391
O 0.895 0.511 0.899
O 0.119 0.476 0.098
O 0.093 0.473 0.618
O 0.101 0.990 0.098
O 0.110 0.988 0.613
O 0.607 0.495 0.112
O 0.594 0.485 0.613
O 0.595 0.984 0.075
O 0.601 0.980 0.577
O 0.005 0.373 0.276
O 0.018 0.376 0.803
O 0.021 0.879 0.302
O 0.029 0.882 0.797
O 0.449 0.379 0.312
O 0.488 0.377 0.777
O 0.455 0.870 0.286
O 0.493 0.873 0.771
O 0.479 0.624 0.721
O 0.003 0.127 0.232
O 0.013 0.122 0.743
O 0.012 0.625 0.220
O 0.987 0.624 0.727
O 0.177 0.177 0.033
O 0.182 0.159 0.533
O 0.224 0.642 0.058
O 0.217 0.614 0.508
O 0.753 0.124 0.041
O 0.754 0.125 0.540
O 0.761 0.625 0.039
O 0.750 0.625 0.542
O 0.272 0.347 0.507
O 0.293 0.354 0.998
O 0.279 0.890 0.487
O 0.263 0.854 0.054
O 0.749 0.374 0.462
O 0.746 0.375 0.977
O 0.758 0.871 0.450
O 0.748 0.877 0.956
! ΔE to the lowest computed polymorph = 0 meV/atom
! Raw total energy = -7.438 eV/atom
! Energy of formation = -2.933 eV/atom

Record 2
! Na3CrH14C6O16 PBE+U relaxed; values from VASP
&SYSTEM
  ibrav = 0, nat = 40, ntyp = 5
/
ATOMIC_SPECIES
Na 22.99 Na.upf
Cr 52.00 Cr.upf
H 1.01 H.upf
C 12.01 C.upf
O 16.00 O.upf
CELL_PARAMETERS angstrom
6.509 0.000 0.000
1.442 7.623 0.000
1.164 1.551 8.619
ATOMIC_POSITIONS crystal
Na 0.000 0.500 0.500
Na 0.291 0.553 0.126
Na 0.709 0.447 0.874
Cr 0.000 0.000 0.000
H 0.050 0.258 0.258
H 0.950 0.742 0.742
H 0.892 0.438 0.219
H 0.108 0.562 0.781
H 0.431 0.347 0.577
H 0.569 0.653 0.423
H 0.379 0.275 0.436
H 0.621 0.725 0.564
H 0.402 0.154 0.950
H 0.598 0.846 0.050
H 0.306 0.970 0.708
H 0.694 0.030 0.292
H 0.203 0.952 0.416
H 0.797 0.048 0.584
C 0.277 0.268 0.919
C 0.723 0.732 0.081
C 0.367 0.856 0.797
C 0.633 0.144 0.203
C 0.180 0.893 0.316
C 0.820 0.107 0.684
O 0.092 0.235 0.915
O 0.908 0.765 0.085
O 0.322 0.423 0.889
O 0.678 0.577 0.111
O 0.273 0.848 0.936
O 0.727 0.152 0.064
O 0.523 0.746 0.760
O 0.477 0.254 0.240
O 0.102 0.011 0.205
O 0.898 0.989 0.795
O 0.232 0.728 0.321
O 0.768 0.272 0.679
O 0.020 0.383 0.272
O 0.980 0.617 0.728
O 0.320 0.304 0.539
O 0.680 0.696 0.461
! Raw total energy = -5.981 eV/atom
! Energy of formation = -1.415 eV/atom

Record 3
! Li3FePCO7 PBE+U relaxed; values from VASP
&SYSTEM
  ibrav = 0, nat = 52, ntyp = 5
/
ATOMIC_SPECIES
Li 6.94 Li.upf
Fe 55.84 Fe.upf
P 30.97 P.upf
C 12.01 C.upf
O 16.00 O.upf
CELL_PARAMETERS angstrom
-0.984 6.192 1.583
-1.396 -2.370 8.085
9.888 1.260 1.079
ATOMIC_POSITIONS crystal
Li 0.745 0.902 0.387
Li 0.741 0.903 0.880
Li 0.512 0.721 0.108
Li 0.985 0.726 0.639
Li 0.516 0.725 0.639
Li 0.260 0.655 0.878
Li 0.476 0.278 0.377
Li 0.021 0.278 0.378
Li 0.471 0.280 0.871
Li 0.029 0.279 0.872
Li 0.251 0.104 0.111
Li 0.251 0.089 0.623
Fe 0.009 0.741 0.115
Fe 0.250 0.664 0.398
Fe 0.750 0.334 0.103
Fe 0.750 0.335 0.608
P 0.751 0.590 0.359
P 0.749 0.588 0.863
P 0.251 0.413 0.142
P 0.250 0.411 0.641
C 0.242 0.965 0.347
C 0.245 0.961 0.854
C 0.752 0.036 0.151
C 0.749 0.035 0.651
O 0.252 0.932 0.470
O 0.759 0.889 0.182
O 0.240 0.929 0.977
O 0.231 0.845 0.253
O 0.750 0.889 0.680
O 0.247 0.850 0.756
O 0.938 0.693 0.416
O 0.563 0.692 0.409
O 0.943 0.686 0.917
O 0.563 0.691 0.911
O 0.257 0.578 0.091
O 0.760 0.573 0.202
O 0.251 0.578 0.592
O 0.756 0.571 0.706
O 0.251 0.429 0.299
O 0.748 0.425 0.408
O 0.251 0.426 0.795
O 0.746 0.421 0.911
O 0.063 0.311 0.089
O 0.436 0.311 0.088
O 0.437 0.310 0.584
O 0.062 0.309 0.584
O 0.748 0.149 0.247
O 0.247 0.106 0.313
O 0.749 0.149 0.747
O 0.749 0.067 0.028
O 0.250 0.108 0.825
O 0.749 0.070 0.528
! ΔE to the lowest computed polymorph = 13 meV/atom
! Raw total energy = -6.671 eV/atom
! Energy of formation = -2.332 eV/atom

Record 4
! Li7CoO4F2 PBE+U relaxed; values from VASP
&SYSTEM
  ibrav = 0, nat = 28, ntyp = 4
/
ATOMIC_SPECIES
Li 6.94 Li.upf
Co 58.93 Co.upf
O 16.00 O.upf
F 19.00 F.upf
CELL_PARAMETERS angstrom
4.840 -0.038 2.273
-0.982 -4.315 -3.619
3.554 7.669 -5.789
ATOMIC_POSITIONS crystal
Li 0.053 0.967 0.768
Li 0.471 0.367 0.258
Li 0.536 0.056 0.612
Li 0.968 0.418 0.878
Li 0.043 0.777 0.557
Li 0.517 0.288 0.043
Li 0.949 0.643 0.322
Li 0.486 0.764 0.937
Li 0.972 0.219 0.469
Li 0.983 0.503 0.103
Li 0.490 0.966 0.386
Li 0.486 0.563 0.722
Li 0.991 0.094 0.254
Li 0.521 0.849 0.172
Co 0.005 0.950 0.052
Co 0.506 0.504 0.492
O 0.256 0.182 0.596
O 0.282 0.025 0.205
O 0.164 0.820 0.964
O 0.665 0.316 0.435
O 0.690 0.624 0.118
O 0.345 0.694 0.541
O 0.827 0.171 0.056
O 0.774 0.833 0.393
F 0.864 0.608 0.721
F 0.321 0.416 0.888
F 0.147 0.436 0.277
F 0.689 0.948 0.781
! ΔE to the lowest computed polymorph = 476 meV/atom
! Raw total energy = -4.493 eV/atom
! Energy of formation = -1.723 eV/atom